Version P
VASP calculation (GGA+U) on a geometry-optimized Li3V3P8O29 structure.

Cell and atoms, written as CIF:
```
data_Li3V3P8O29
_space_group_name_H-M_alt 'P 1'
_space_group_IT_number 1
_cell_length_a 9.763
_cell_length_b 9.766
_cell_length_c 14.161
_cell_angle_alpha 89.74
_cell_angle_beta 89.94
_cell_angle_gamma 60.14
loop_
_space_group_symop_operation_xyz
'x,y,z'
loop_
_atom_site_label
_atom_site_type_symbol
_atom_site_fract_x
_atom_site_fract_y
_atom_site_fract_z
Li1 Li 0.000 0.000 0.000
Li2 Li 0.007 0.583 0.496
Li3 Li 0.151 0.982 0.497
Li4 Li 0.219 0.641 0.062
Li5 Li 0.329 0.354 0.614
Li6 Li 0.565 0.576 0.002
V1 V 0.230 0.239 0.817
V2 V 0.241 0.102 0.301
V3 V 0.670 0.238 0.311
V4 V 0.672 0.672 0.805
V5 V 0.797 0.675 0.304
V6 V 0.801 0.105 0.803
P1 P 0.007 0.985 0.215
P2 P 0.010 0.582 0.716
P3 P 0.149 0.450 0.217
P4 P 0.150 0.991 0.715
P5 P 0.322 0.892 0.897
P6 P 0.324 0.352 0.399
P7 P 0.463 0.756 0.400
P8 P 0.464 0.361 0.899
P9 P 0.547 0.583 0.217
P10 P 0.550 0.444 0.715
P11 P 0.563 0.009 0.689
P12 P 0.571 0.007 0.188
P13 P 0.898 0.336 0.929
P14 P 0.909 0.335 0.427
P15 P 0.922 0.897 0.398
P16 P 0.928 0.756 0.898
O1 O 0.010 0.904 0.481
O2 O 0.019 0.904 0.123
O3 O 0.024 0.872 0.302
O4 O 0.025 0.675 0.983
O5 O 0.026 0.678 0.802
O6 O 0.047 0.341 0.885
O7 O 0.058 0.188 0.383
O8 O 0.141 0.150 0.740
O9 O 0.148 0.016 0.227
O10 O 0.154 0.288 0.228
O11 O 0.155 0.413 0.724
O12 O 0.223 0.927 0.622
O13 O 0.228 0.888 0.978
O14 O 0.229 0.467 0.133
O15 O 0.231 0.468 0.312
O16 O 0.238 0.424 0.489
O17 O 0.250 0.871 0.799
O18 O 0.320 0.929 0.394
O19 O 0.324 0.051 0.887
O20 O 0.326 0.324 0.892
O21 O 0.332 0.193 0.378
O22 O 0.415 0.156 0.730
O23 O 0.423 0.002 0.232
O24 O 0.438 0.678 0.304
O25 O 0.441 0.465 0.805
O26 O 0.451 0.458 0.983
O27 O 0.469 0.671 0.487
O28 O 0.471 0.654 0.125
O29 O 0.472 0.433 0.628
O30 O 0.493 0.327 0.394
O31 O 0.495 0.753 0.897
O32 O 0.569 0.007 0.585
O33 O 0.570 0.153 0.234
O34 O 0.572 0.002 0.083
O35 O 0.573 0.856 0.736
O36 O 0.580 0.412 0.229
O37 O 0.582 0.584 0.724
O38 O 0.617 0.762 0.378
O39 O 0.621 0.205 0.886
O40 O 0.707 0.581 0.232
O41 O 0.712 0.011 0.735
O42 O 0.712 0.289 0.734
O43 O 0.719 0.856 0.233
O44 O 0.747 0.485 0.888
O45 O 0.762 0.051 0.381
O46 O 0.763 0.329 0.381
O47 O 0.772 0.752 0.884
O48 O 0.851 0.141 0.230
O49 O 0.856 0.572 0.737
O50 O 0.891 0.931 0.893
O51 O 0.895 0.754 0.397
O52 O 0.902 0.332 0.034
O53 O 0.904 0.488 0.387
O54 O 0.908 0.183 0.887
O55 O 0.912 0.328 0.532
O56 O 0.975 0.584 0.227
O57 O 0.980 0.015 0.728
O58 O 0.998 0.657 0.623
```


Version Q
VASP calculation (GGA+U) on a geometry-optimized Li3V3P8O29 structure.

Cell and atoms, written as CIF:
```
data_Li3V3P8O29
_space_group_name_H-M_alt 'C 1 2 1'
_space_group_IT_number 5
_cell_length_a 16.948
_cell_length_b 9.794
_cell_length_c 14.275
_cell_angle_alpha 90.00
_cell_angle_beta 90.84
_cell_angle_gamma 90.00
loop_
_space_group_symop_operation_xyz
'x,y,z'
'-x,y,-z'
'x+1/2,y+1/2,z'
'-x+1/2,y+1/2,-z'
loop_
_atom_site_label
_atom_site_type_symbol
_atom_site_fract_x
_atom_site_fract_y
_atom_site_fract_z
Li1 Li 0.040 0.000 0.196
Li2 Li 0.153 0.334 0.806
Li3 Li 0.159 0.198 0.313
V1 V 0.000 0.695 0.500
V2 V 0.000 0.824 0.000
V3 V 0.214 0.483 0.007
V4 V 0.216 0.043 0.508
P1 P 0.042 0.533 0.908
P2 P 0.044 0.990 0.411
P3 P 0.112 0.465 0.411
P4 P 0.113 0.062 0.911
P5 P 0.161 0.189 0.092
P6 P 0.161 0.339 0.592
P7 P 0.168 0.758 0.620
P8 P 0.169 0.771 0.118
O1 O 0.000 0.054 0.500
O2 O 0.000 0.472 0.000
O3 O 0.000 0.503 0.180
O4 O 0.005 0.025 0.320
O5 O 0.041 0.965 0.911
O6 O 0.042 0.565 0.415
O7 O 0.047 0.692 0.931
O8 O 0.047 0.834 0.429
O9 O 0.092 0.844 0.076
O10 O 0.093 0.691 0.575
O11 O 0.102 0.148 0.007
O12 O 0.102 0.378 0.507
O13 O 0.116 0.375 0.329
O14 O 0.118 0.153 0.829
O15 O 0.125 0.144 0.182
O16 O 0.128 0.053 0.416
O17 O 0.128 0.377 0.683
O18 O 0.128 0.475 0.916
O19 O 0.168 0.620 0.075
O20 O 0.169 0.767 0.724
O21 O 0.169 0.770 0.222
O22 O 0.169 0.911 0.576
O23 O 0.172 0.346 0.083
O24 O 0.173 0.182 0.580
O25 O 0.190 0.550 0.426
O26 O 0.191 0.978 0.927
O27 O 0.240 0.118 0.071
O28 O 0.240 0.409 0.569
O29 O 0.243 0.686 0.581
O30 O 0.243 0.842 0.077
```


Which structure wins on stability? version P wins.


Version P
VASP calculation (GGA+U) on a geometry-optimized Li3V3P8O29 structure.

Cell and atoms, written as CIF:
```
data_Li3V3P8O29
_space_group_name_H-M_alt 'P 1'
_space_group_IT_number 1
_cell_length_a 9.757
_cell_length_b 9.772
_cell_length_c 14.194
_cell_angle_alpha 90.07
_cell_angle_beta 90.08
_cell_angle_gamma 119.88
loop_
_space_group_symop_operation_xyz
'x,y,z'
loop_
_atom_site_label
_atom_site_type_symbol
_atom_site_fract_x
_atom_site_fract_y
_atom_site_fract_z
Li1 Li 0.000 0.000 0.000
Li2 Li 0.007 0.421 0.494
Li3 Li 0.151 0.013 0.490
Li4 Li 0.209 0.355 0.058
Li5 Li 0.561 0.420 0.997
Li6 Li 0.919 0.100 0.609
V1 V 0.229 0.758 0.806
V2 V 0.238 0.890 0.298
V3 V 0.662 0.756 0.306
V4 V 0.665 0.323 0.801
V5 V 0.793 0.323 0.299
V6 V 0.793 0.883 0.804
P1 P 0.004 0.010 0.213
P2 P 0.004 0.413 0.713
P3 P 0.143 0.006 0.708
P4 P 0.147 0.546 0.211
P5 P 0.315 0.102 0.891
P6 P 0.317 0.638 0.395
P7 P 0.453 0.630 0.892
P8 P 0.459 0.239 0.395
P9 P 0.541 0.412 0.212
P10 P 0.544 0.551 0.707
P11 P 0.564 0.989 0.686
P12 P 0.568 0.990 0.184
P13 P 0.897 0.659 0.923
P14 P 0.904 0.661 0.422
P15 P 0.913 0.097 0.393
P16 P 0.923 0.237 0.895
O1 O 0.019 0.096 0.123
O2 O 0.021 0.315 0.798
O3 O 0.023 0.120 0.303
O4 O 0.023 0.316 0.978
O5 O 0.043 0.654 0.878
O6 O 0.053 0.808 0.378
O7 O 0.135 0.847 0.732
O8 O 0.144 0.977 0.224
O9 O 0.146 0.581 0.720
O10 O 0.153 0.708 0.222
O11 O 0.216 0.071 0.616
O12 O 0.220 0.526 0.126
O13 O 0.222 0.111 0.971
O14 O 0.226 0.557 0.480
O15 O 0.234 0.530 0.303
O16 O 0.244 0.124 0.792
O17 O 0.313 0.942 0.881
O18 O 0.317 0.066 0.389
O19 O 0.318 0.670 0.887
O20 O 0.324 0.798 0.375
O21 O 0.416 0.848 0.732
O22 O 0.421 0.994 0.229
O23 O 0.432 0.531 0.797
O24 O 0.433 0.317 0.299
O25 O 0.446 0.535 0.975
O26 O 0.465 0.324 0.481
O27 O 0.465 0.343 0.120
O28 O 0.475 0.562 0.618
O29 O 0.489 0.241 0.892
O30 O 0.489 0.669 0.389
O31 O 0.565 0.843 0.229
O32 O 0.569 0.995 0.080
O33 O 0.572 0.142 0.733
O34 O 0.573 0.583 0.224
O35 O 0.573 0.999 0.582
O36 O 0.576 0.411 0.723
O37 O 0.612 0.789 0.880
O38 O 0.614 0.234 0.372
O39 O 0.702 0.414 0.226
O40 O 0.705 0.705 0.733
O41 O 0.716 0.989 0.728
O42 O 0.717 0.140 0.229
O43 O 0.743 0.511 0.885
O44 O 0.754 0.945 0.377
O45 O 0.758 0.668 0.376
O46 O 0.769 0.245 0.882
O47 O 0.846 0.855 0.226
O48 O 0.850 0.422 0.733
O49 O 0.883 0.061 0.889
O50 O 0.892 0.244 0.394
O51 O 0.898 0.509 0.382
O52 O 0.901 0.674 0.027
O53 O 0.905 0.813 0.878
O54 O 0.906 0.669 0.526
O55 O 0.972 0.414 0.224
O56 O 0.974 0.985 0.717
O57 O 0.988 0.328 0.622
O58 O 0.993 0.086 0.482
```


Version Q
VASP calculation (GGA+U) on a geometry-optimized Li3V3P8O29 structure.

Cell and atoms, written as CIF:
```
data_Li3V3P8O29
_space_group_name_H-M_alt 'P 1'
_space_group_IT_number 1
_cell_length_a 9.759
_cell_length_b 9.760
_cell_length_c 14.428
_cell_angle_alpha 89.50
_cell_angle_beta 89.94
_cell_angle_gamma 60.06
loop_
_space_group_symop_operation_xyz
'x,y,z'
loop_
_atom_site_label
_atom_site_type_symbol
_atom_site_fract_x
_atom_site_fract_y
_atom_site_fract_z
Li1 Li 0.000 0.000 0.000
Li2 Li 0.012 0.853 0.513
Li3 Li 0.106 0.074 0.400
Li4 Li 0.360 0.795 0.948
Li5 Li 0.412 0.450 0.007
Li6 Li 0.544 0.468 0.509
V1 V 0.320 0.334 0.198
V2 V 0.322 0.204 0.698
V3 V 0.752 0.777 0.198
V4 V 0.754 0.343 0.703
V5 V 0.883 0.206 0.196
V6 V 0.883 0.765 0.703
P1 P 0.002 0.860 0.295
P2 P 0.006 0.995 0.789
P3 P 0.092 0.092 0.612
P4 P 0.098 0.690 0.115
P5 P 0.233 0.547 0.614
P6 P 0.237 0.076 0.106
P7 P 0.405 0.459 0.793
P8 P 0.408 0.995 0.288
P9 P 0.540 0.853 0.786
P10 P 0.550 0.448 0.292
P11 P 0.625 0.553 0.115
P12 P 0.631 0.688 0.605
P13 P 0.656 0.106 0.081
P14 P 0.657 0.108 0.583
P15 P 0.985 0.437 0.313
P16 P 0.992 0.432 0.816
O1 O 0.060 0.118 0.114
O2 O 0.061 0.689 0.612
O3 O 0.066 0.793 0.388
O4 O 0.081 0.014 0.525
O5 O 0.090 0.980 0.878
O6 O 0.109 0.785 0.038
O7 O 0.115 0.978 0.701
O8 O 0.122 0.754 0.214
O9 O 0.136 0.286 0.771
O10 O 0.138 0.427 0.265
O11 O 0.228 0.392 0.628
O12 O 0.235 0.514 0.112
O13 O 0.238 0.114 0.615
O14 O 0.245 0.230 0.117
O15 O 0.304 0.575 0.710
O16 O 0.309 0.979 0.023
O17 O 0.318 0.005 0.372
O18 O 0.320 0.974 0.199
O19 O 0.328 0.546 0.533
O20 O 0.345 0.537 0.884
O21 O 0.404 0.303 0.779
O22 O 0.405 0.426 0.275
O23 O 0.408 0.029 0.777
O24 O 0.416 0.150 0.268
O25 O 0.506 0.117 0.629
O26 O 0.508 0.260 0.117
O27 O 0.521 0.567 0.036
O28 O 0.521 0.776 0.870
O29 O 0.523 0.771 0.695
O30 O 0.536 0.571 0.213
O31 O 0.554 0.768 0.518
O32 O 0.559 0.506 0.384
O33 O 0.576 0.429 0.777
O34 O 0.579 0.856 0.281
O35 O 0.649 0.962 0.125
O36 O 0.656 0.115 0.481
O37 O 0.662 0.514 0.613
O38 O 0.663 0.254 0.626
O39 O 0.664 0.689 0.117
O40 O 0.672 0.104 0.978
O41 O 0.701 0.289 0.267
O42 O 0.703 0.847 0.778
O43 O 0.783 0.392 0.122
O44 O 0.792 0.680 0.628
O45 O 0.802 0.954 0.624
O46 O 0.811 0.096 0.125
O47 O 0.839 0.440 0.773
O48 O 0.843 0.869 0.271
O49 O 0.845 0.588 0.269
O50 O 0.850 0.155 0.777
O51 O 0.937 0.694 0.123
O52 O 0.941 0.251 0.630
O53 O 0.971 0.857 0.778
O54 O 0.981 0.290 0.271
O55 O 0.985 0.028 0.283
O56 O 0.991 0.434 0.919
O57 O 0.993 0.582 0.771
O58 O 0.994 0.426 0.415
```


Which structure wins on stability? version Q wins.